[1]
! Li2Fe3NiO8, relaxed, DFT PBE+U; values from VASP
! V = 10.39 A^3/atom
! Distance to the lowest polymorph of the same formula = 125.7 meV per atom
! Uncorrected energy = -79.989 eV/cell
&SYSTEM
  ibrav = 0, nat = 14, ntyp = 4
/
ATOMIC_SPECIES
Li 6.94 Li.upf
Fe 55.84 Fe.upf
Ni 58.69 Ni.upf
O 16.00 O.upf
CELL_PARAMETERS angstrom
5.152 -2.937 0.000
5.152 2.937 0.000
3.478 0.000 4.804
ATOMIC_POSITIONS angstrom
Li 12.126 0.000 4.227
Li 6.890 0.000 2.402
Fe 9.456 -1.443 2.414
Fe 9.456 1.443 2.414
Fe 8.633 0.000 4.774
Ni 1.659 0.000 0.578
O 10.269 0.000 3.579
O 8.718 0.000 1.408
O 7.958 -1.334 3.590
O 7.958 1.334 3.590
O 5.832 -1.357 1.203
O 5.832 1.357 1.203
O 5.058 0.000 3.422
O 3.525 0.000 1.229

[2]
! Li6Fe5NiO12, relaxed, DFT PBE+U; values from VASP
! V = 9.04 A^3/atom
! Distance to the lowest polymorph of the same formula = 48.1 meV per atom
! Uncorrected energy = -139.718 eV/cell
&SYSTEM
  ibrav = 0, nat = 24, ntyp = 4
/
ATOMIC_SPECIES
Li 6.94 Li.upf
Fe 55.84 Fe.upf
Ni 58.69 Ni.upf
O 16.00 O.upf
CELL_PARAMETERS angstrom
0.553 -4.619 1.928
3.218 3.666 1.251
-4.682 2.205 8.559
ATOMIC_POSITIONS angstrom
Li -3.065 1.543 6.745
Li -0.154 -1.177 3.582
Li 0.695 1.572 3.366
Li -1.638 -0.308 8.379
Li -0.725 2.419 8.149
Li 2.157 -0.280 4.992
Fe -0.455 0.629 5.869
Fe -1.345 -2.141 6.095
Fe 0.434 3.393 5.643
Fe 1.440 -1.863 1.703
Fe 2.331 0.910 1.476
Ni 0.555 -4.614 1.928
O -0.983 0.642 3.976
O -3.587 -1.114 9.042
O -1.945 4.414 8.518
O -2.142 -0.249 6.363
O -1.295 2.374 6.159
O -2.794 1.528 8.821
O 1.830 -0.440 2.930
O 0.386 -1.125 5.590
O 1.226 1.498 5.365
O 0.934 -3.050 3.138
O 2.825 2.410 2.765
O 0.072 0.612 7.762

[3]
! Li3Fe2Ni2O8, relaxed, DFT PBE+U; values from VASP
! V = 9.70 A^3/atom
! Distance to the lowest polymorph of the same formula = 0.0 meV per atom
! Uncorrected energy = -82.324 eV/cell
&SYSTEM
  ibrav = 0, nat = 15, ntyp = 4
/
ATOMIC_SPECIES
Li 6.94 Li.upf
Fe 55.84 Fe.upf
Ni 58.69 Ni.upf
O 16.00 O.upf
CELL_PARAMETERS angstrom
-5.185 -2.661 0.410
1.807 -2.759 4.852
0.240 5.897 -0.230
ATOMIC_POSITIONS angstrom
Li 1.023 1.569 2.311
Li -1.689 -2.710 2.631
Li 0.120 2.949 -0.115
Fe -2.593 -1.331 0.205
Fe 0.000 0.000 0.000
Ni -1.569 0.239 2.516
Ni -2.473 1.618 0.090
O -3.191 0.185 1.222
O 0.263 3.008 3.613
O -0.827 1.514 1.080
O -2.145 1.793 3.814
O -0.993 -1.316 1.218
O -2.312 -1.037 3.952
O -3.402 -2.530 1.419
O 0.053 0.292 3.810

[4]
! Li3Fe3NiO8, relaxed, DFT PBE+U; values from VASP
! V = 9.90 A^3/atom
! Distance to the lowest polymorph of the same formula = 18.8 meV per atom
! Uncorrected energy = -87.044 eV/cell
&SYSTEM
  ibrav = 0, nat = 15, ntyp = 4
/
ATOMIC_SPECIES
Li 6.94 Li.upf
Fe 55.84 Fe.upf
Ni 58.69 Ni.upf
O 16.00 O.upf
CELL_PARAMETERS angstrom
-3.703 -4.009 -2.281
1.928 -3.728 -4.168
0.720 -5.790 1.286
ATOMIC_POSITIONS angstrom
Li -1.851 -2.005 -1.141
Li 0.964 -1.864 -2.084
Li -0.887 -3.869 -3.225
Fe -1.492 -4.900 -0.497
Fe 1.324 -4.759 -1.441
Fe -0.527 -6.764 -2.581
Ni 0.360 -2.895 0.643
O -1.669 -8.139 -1.911
O 0.047 -6.253 -0.790
O -0.820 -10.037 -3.943
O 0.905 -8.011 -2.773
O -1.960 -5.517 -2.389
O -0.235 -3.491 -1.220
O -1.102 -7.275 -4.373
O 0.614 -5.388 -3.252

[5]
! Li3FeNi3O8, relaxed, DFT PBE+U; values from VASP
! V = 9.45 A^3/atom
! Distance to the lowest polymorph of the same formula = 0.0 meV per atom
! Uncorrected energy = -77.768 eV/cell
&SYSTEM
  ibrav = 0, nat = 15, ntyp = 4
/
ATOMIC_SPECIES
Li 6.94 Li.upf
Fe 55.84 Fe.upf
Ni 58.69 Ni.upf
O 16.00 O.upf
CELL_PARAMETERS angstrom
2.889 5.056 0.000
-2.889 5.056 0.000
0.000 3.270 4.852
ATOMIC_POSITIONS angstrom
Li -1.445 4.163 2.426
Li 0.000 1.635 2.426
Li 1.445 4.163 2.426
Fe 0.000 5.056 0.000
Ni -1.445 2.528 0.000
Ni 1.445 2.528 0.000
Ni 0.000 0.000 0.000
O -1.535 7.584 3.777
O 0.000 10.006 3.770
O 0.000 4.866 3.862
O 1.535 7.584 3.777
O -1.535 5.799 1.075
O 0.000 8.517 0.990
O 0.000 3.377 1.082
O 1.535 5.799 1.075

[6]
! Li5FeNi4O10, relaxed, DFT PBE+U; values from VASP
! V = 8.77 A^3/atom
! Uncorrected energy = -102.828 eV/cell
&SYSTEM
  ibrav = 0, nat = 20, ntyp = 4
/
ATOMIC_SPECIES
Li 6.94 Li.upf
Fe 55.84 Fe.upf
Ni 58.69 Ni.upf
O 16.00 O.upf
CELL_PARAMETERS angstrom
-13.665 -10.629 -16.658
-15.458 -11.336 -14.482
-15.768 -8.791 -15.852
ATOMIC_POSITIONS angstrom
Li -35.886 -24.585 -37.564
Li -17.952 -12.299 -18.792
Li -26.940 -18.456 -28.199
Li -9.006 -6.170 -9.427
Li 0.000 0.000 0.000
Fe -22.446 -15.378 -23.496
Ni -40.421 -27.692 -42.311
Ni -31.424 -21.528 -32.893
Ni -13.468 -9.227 -14.098
Ni -4.471 -3.063 -4.681
O -29.108 -19.942 -30.469
O -20.102 -13.772 -21.042
O -38.119 -26.116 -39.902
O -33.721 -23.102 -35.298
O -24.790 -16.984 -25.950
O -11.171 -7.653 -11.693
O -2.171 -1.487 -2.272
O -42.721 -29.268 -44.719
O -6.772 -4.640 -7.089
O -15.784 -10.814 -16.522

[7]
! Li2Fe3NiO8, relaxed, DFT PBE+U; values from VASP
! V = 9.86 A^3/atom
! Distance to the lowest polymorph of the same formula = 94.4 meV per atom
! Uncorrected energy = -80.426 eV/cell
&SYSTEM
  ibrav = 0, nat = 14, ntyp = 4
/
ATOMIC_SPECIES
Li 6.94 Li.upf
Fe 55.84 Fe.upf
Ni 58.69 Ni.upf
O 16.00 O.upf
CELL_PARAMETERS angstrom
2.861 4.922 0.000
-2.861 4.922 0.000
0.000 3.327 4.900
ATOMIC_POSITIONS angstrom
Li -1.431 2.461 0.000
Li 1.431 2.461 0.000
Fe -1.431 4.125 2.450
Fe 1.431 4.125 2.450
Fe 0.000 6.586 2.450
Ni 0.000 1.664 2.450
O 0.000 3.247 1.437
O -1.457 5.825 1.452
O 1.457 5.825 1.452
O 0.000 8.171 1.425
O 0.000 5.001 3.474
O -1.457 7.347 3.448
O 1.457 7.347 3.448
O 0.000 9.925 3.463

[8]
! Li4Fe2Ni5O12, relaxed, DFT PBE+U; values from VASP
! V = 9.34 A^3/atom
! Uncorrected energy = -242.874 eV/cell
&SYSTEM
  ibrav = 0, nat = 46, ntyp = 4
/
ATOMIC_SPECIES
Li 6.94 Li.upf
Fe 55.84 Fe.upf
Ni 58.69 Ni.upf
O 16.00 O.upf
CELL_PARAMETERS angstrom
-3.366 -2.053 7.959
0.429 -4.899 -1.082
9.008 -1.807 3.343
ATOMIC_POSITIONS angstrom
Li 3.670 -3.235 9.748
Li -0.598 -4.813 7.635
Li 2.875 -5.821 5.505
Li 0.512 -4.126 4.931
Li 1.316 -6.185 3.036
Li 5.518 -4.648 5.308
Li 4.312 -2.256 2.077
Li 6.683 -3.946 2.631
Fe 2.116 -3.661 7.347
Fe 6.789 -7.004 8.460
Fe -0.692 -1.739 1.699
Fe 3.980 -5.082 2.813
Ni -2.960 -3.123 7.047
Ni 1.706 -6.475 8.178
Ni -0.268 -2.013 6.830
Ni 4.441 -5.320 7.863
Ni -1.848 -2.395 4.366
Ni 3.215 -2.985 4.761
Ni 7.897 -6.327 5.856
Ni 6.319 -6.757 3.436
Ni 1.682 -3.406 2.234
Ni 9.052 -5.672 3.175
O 0.520 -3.214 8.279
O -1.657 -6.399 6.630
O 3.310 -6.915 7.229
O 5.487 -3.815 8.867
O 5.144 -6.459 9.516
O 2.725 -4.774 8.796
O 1.514 -2.625 5.863
O 1.114 -5.373 6.662
O -1.266 -3.611 5.973
O -0.513 -5.725 4.158
O 3.641 -4.110 6.327
O 6.228 -5.801 6.958
O 6.677 -3.001 6.076
O 4.563 -6.147 4.277
O 2.639 -1.918 3.278
O 2.367 -4.582 3.738
O 0.518 -4.983 1.509
O -0.140 -2.951 3.230
O 4.860 -3.444 3.788
O 5.599 -5.498 1.894
O 7.659 -2.378 3.521
O 7.333 -5.150 4.256
O 3.508 -3.991 1.346
O 0.938 -2.290 0.671